Run 1
First-principles (PBE+U) data for crystalline Li2AlFeO4 at its relaxed geometry, as listed in Materials Project.

a b c (Å): 6.2755 5.5506 5.0322
angles (deg): 90.00 90.00 90.00
Last column: nearest neighbours and their distance in Å.
Space group Pmn2_1 (No. 31)
Asymmetric unit:
Li1 0.2502 0.1662 0.0000  4 O 1.99-2.02
Al1 0.0000 0.3328 0.5060  4 O 1.79
Fe1 0.0000 0.6653 0.0032  4 O 1.91-1.92
O1 0.0000 0.3466 0.8614  1 Al 1.79, 1 Fe 1.91, 2 Li 1.99
O2 0.0000 0.6358 0.3823  1 Al 1.79, 1 Fe 1.91, 2 Li 2.00
O3 0.2380 0.1818 0.4016  1 Al 1.79, 1 Fe 1.92, 1 Li 1.99

V: 10.96 Å³/atom

***

Run 2
First-principles (PBE+U) data for crystalline Li2AlFeO4 at its relaxed geometry, as listed in Materials Project.

a b c (Å): 5.3313 5.9684 10.9025
angles (deg): 90.00 108.10 90.00
Last column: nearest neighbours and their distance in Å.
Space group P2_1/c (No. 14)
Asymmetric unit:
Li1 0.0644 0.1617 0.1919  5 O 2.03-2.11
Li2 0.3017 0.1570 0.9320  5 O 2.04-2.11
Al1 0.1791 0.6693 0.0582  5 O 1.81-2.00
Fe1 0.4315 0.6737 0.8167  5 O 1.91-2.10
O1 0.0839 0.6774 0.6794  1 Al 1.81, 1 Fe 1.99
O2 0.1794 0.1406 0.5601  2 Al 1.85-1.95
O3 0.3060 0.6855 0.4442  1 Al 1.81, 1 Fe 1.91
O4 0.4591 0.1549 0.3139  2 Fe 1.97-1.98, 1 Al 2.00, 2 Li 2.07-2.11

V: 10.30 Å³/atom

***

Most stable to least stable: run 1, run 2

***

Run 1
First-principles (PBE+U) data for crystalline Li2AlFeO4 at its relaxed geometry, as listed in Materials Project.

a b c (Å): 5.0383 5.4709 8.1660
angles (deg): 90.00 128.05 90.00
Last column: nearest neighbours and their distance in Å.
Space group Pc (No. 7)
Asymmetric unit:
Li1 0.0000 0.1659 0.0000  4 O 2.02-2.04
Li2 0.7463 0.3291 0.2471  4 O 1.99-2.03
Al1 0.5043 0.1691 0.4979  4 O 1.78-1.79
Fe1 0.2546 0.3311 0.7507  4 O 1.90-1.92
O1 0.1731 0.3341 0.2720  1 Al 1.79, 1 Fe 1.91
O2 0.3911 0.1424 0.9880  1 Al 1.78, 1 Fe 1.91
O3 0.6097 0.3159 0.7269  1 Al 1.79, 1 Fe 1.92
O4 0.8697 0.1808 0.5088  1 Al 1.79, 1 Fe 1.90, 1 Li 1.99

V: 11.08 Å³/atom

***

Run 2
First-principles (PBE+U) data for crystalline Li2AlFeO4 at its relaxed geometry, as listed in Materials Project.

a b c (Å): 10.9238 6.4040 5.0458
angles (deg): 90.00 90.00 90.00
Last column: nearest neighbours and their distance in Å.
Space group Pna2_1 (No. 33)
Asymmetric unit:
Li1 0.0853 0.2472 0.0000  4 O 1.99-2.05
Li2 0.1673 0.9960 0.4995  4 O 1.98-2.03
Al1 0.1672 0.4933 0.5058  4 O 1.79-1.80
Fe1 0.0845 0.7435 0.0035  4 O 1.90-1.92
O1 0.0841 0.2649 0.4028  1 Al 1.80, 1 Fe 1.91, 1 Li 2.01
O2 0.0935 0.7236 0.3820  1 Al 1.79, 1 Fe 1.92
O3 0.1637 0.5050 0.8598  1 Al 1.79, 1 Fe 1.90, 2 Li 1.98-1.99
O4 0.1762 0.9844 0.9003  1 Al 1.79, 1 Fe 1.91

V: 11.03 Å³/atom
largest piezoelectric modulus: 1.1 C/m²

***

Most stable to least stable: run 1, run 2

***

Run 1
First-principles (PBE+U) data for crystalline Li2AlFeO4 at its relaxed geometry, as listed in Materials Project.

a b c (Å): 10.3741 5.3014 13.8187
angles (deg): 90.00 90.00 90.00
Last column: nearest neighbours and their distance in Å.
Space group Pca2_1 (No. 29)
Asymmetric unit:
Li1 0.0239 0.0015 0.0000  3 O 1.99-2.18
Li2 0.0276 0.5068 0.3907  3 O 1.98-2.17
Li3 0.2071 0.1280 0.1571  3 O 1.95-1.99
Li4 0.2082 0.6220 0.2357  3 O 1.92-1.96
Al1 0.0325 0.4950 0.6363  4 O 1.78-1.80
Al2 0.2140 0.0060 0.3810  4 O 1.76-1.80
Fe1 0.0326 0.9960 0.7568  4 O 1.90-1.92
Fe2 0.2138 0.5049 0.0090  4 O 1.88-1.93
O1 0.0178 0.1805 0.1417  1 Al 1.80, 1 Fe 1.92, 1 Li 1.99
O2 0.0202 0.6587 0.2452  1 Al 1.80, 1 Fe 1.92, 1 Li 1.96
O3 0.0485 0.6406 0.0352  1 Al 1.78, 1 Fe 1.90, 1 Li 1.99
O4 0.0609 0.1478 0.3613  1 Al 1.78, 1 Fe 1.90, 1 Li 1.98
O5 0.1759 0.7137 0.4370  1 Al 1.78, 1 Fe 1.88
O6 0.1770 0.1903 0.9489  1 Al 1.76, 1 Fe 1.90
O7 0.2029 0.4431 0.6317  1 Al 1.79, 1 Fe 1.93, 2 Li 1.95
O8 0.2150 0.9436 0.7650  1 Al 1.80, 1 Fe 1.92, 2 Li 1.92-1.96

V: 11.87 Å³/atom

***

Run 2
First-principles (PBE+U) data for crystalline Li2AlFeO4 at its relaxed geometry, as listed in Materials Project.

a b c (Å): 5.1581 10.9176 8.2431
angles (deg): 90.00 128.63 90.00
Last column: nearest neighbours and their distance in Å.
Space group P2_1/c (No. 14)
Asymmetric unit:
Li1 0.0556 0.0789 0.2601  4 O 1.99-2.15
Li2 0.3035 0.6647 0.9927  4 O 1.97-2.06
Al1 0.4401 0.0868 0.7552  4 O 1.78-1.79
Fe1 0.1856 0.1655 0.0032  4 O 1.91-1.92
O1 0.1046 0.0910 0.7664  1 Al 1.79, 1 Fe 1.91, 1 Li 1.99
O2 0.2101 0.6631 0.5214  1 Al 1.79, 1 Fe 1.92, 1 Li 1.99
O3 0.3211 0.1681 0.5300  1 Al 1.79, 1 Fe 1.91, 1 Li 1.99
O4 0.4593 0.0684 0.2485  1 Al 1.78, 1 Fe 1.91, 1 Li 1.97

V: 11.33 Å³/atom

***

Run 3
First-principles (PBE+U) data for crystalline Li2AlFeO4 at its relaxed geometry, as listed in Materials Project.

a b c (Å): 10.5458 5.3541 13.1860
angles (deg): 90.00 90.00 90.00
Last column: nearest neighbours and their distance in Å.
Space group Pca2_1 (No. 29)
Asymmetric unit:
Li1 0.0402 0.0529 0.0000  4 O 1.99-2.05
Li2 0.0443 0.5552 0.6269  4 O 1.98-2.09
Li3 0.2116 0.3735 0.7649  4 O 1.92-2.11
Li4 0.2119 0.8744 0.8636  3 O 1.91-2.09
Al1 0.0371 0.4563 0.3771  4 O 1.79
Al2 0.2079 0.0419 0.6217  4 O 1.76-1.79
Fe1 0.0384 0.9537 0.2505  4 O 1.91
Fe2 0.2083 0.5405 0.0067  4 O 1.87-1.92
O1 0.0137 0.8617 0.8671  1 Al 1.79, 1 Fe 1.91
O2 0.0188 0.3826 0.7672  1 Al 1.79, 1 Fe 1.91
O3 0.0394 0.4260 0.9883  1 Al 1.79, 1 Fe 1.90, 1 Li 2.00
O4 0.0501 0.9300 0.6332  1 Al 1.78, 1 Fe 1.91
O5 0.2040 0.5127 0.3805  1 Al 1.79, 1 Fe 1.91, 1 Li 1.92
O6 0.2070 0.3751 0.6113  1 Al 1.79, 1 Fe 1.87, 1 Li 1.98
O7 0.2101 0.8975 0.0211  1 Al 1.76, 1 Fe 1.92
O8 0.2169 0.0091 0.2423  1 Al 1.79, 1 Li 1.91, 1 Fe 1.91

V: 11.63 Å³/atom

***

Run 4
First-principles (PBE+U) data for crystalline Li2AlFeO4 at its relaxed geometry, as listed in Materials Project.

a b c (Å): 6.2963 5.4203 10.9161
angles (deg): 90.00 91.29 90.00
Last column: nearest neighbours and their distance in Å.
Space group P2_1/c (No. 14)
Asymmetric unit:
Li1 0.0111 0.1729 0.1742  4 O 1.94-2.14
Li2 0.2455 0.1703 0.9198  3 O 1.92-2.02
Al1 0.4969 0.6842 0.8324  4 O 1.75-1.85
Fe1 0.2351 0.6758 0.0796  3 O 1.79-1.94
O1 0.0258 0.6856 0.6646  1 Fe 1.79, 3 Li 1.92-1.95
O2 0.2565 0.1808 0.5837  1 Al 1.78, 1 Fe 1.94, 1 Li 1.96
O3 0.2896 0.6984 0.4200  1 Al 1.75, 1 Fe 1.91
O4 0.4876 0.1534 0.3105  2 Al 1.80-1.85

V: 11.64 Å³/atom

***

Most stable to least stable: run 2, run 3, run 1, run 4